Density functional theory data (GGA+U) for a relaxed Er3Al3Cr2O12 crystal.

Structure (POSCAR):
```
Er3Al3Cr2O12
1.0
-6.1170 6.1170 6.1170
6.1170 -6.1170 6.1170
6.1170 6.1170 -6.1170
O Al Er Cr
48 12 12 8
Direct
0.4010 0.8164 0.5251
0.5251 0.4010 0.8164
0.0990 0.9749 0.6836
0.2087 0.5846 0.1836
0.7087 0.5251 0.6240
0.5251 0.6240 0.7087
0.2913 0.4749 0.3760
0.9749 0.6836 0.0990
0.0251 0.2087 0.1240
0.0251 0.3164 0.9010
0.4154 0.8164 0.7913
0.6836 0.0846 0.7087
0.6240 0.4154 0.0990
0.3760 0.2913 0.4749
0.6240 0.7087 0.5251
0.5990 0.9154 0.1240
0.9154 0.2913 0.3164
0.8164 0.5251 0.4010
0.8760 0.4010 0.0846
0.2913 0.3164 0.9154
0.4749 0.5990 0.1836
0.7913 0.4154 0.8164
0.8760 0.9749 0.7913
0.1836 0.4749 0.5990
0.9154 0.1240 0.5990
0.4749 0.3760 0.2913
0.5990 0.1836 0.4749
0.0990 0.6240 0.4154
0.1240 0.0251 0.2087
0.0846 0.7087 0.6836
0.1240 0.5990 0.9154
0.3164 0.9154 0.2913
0.3164 0.9010 0.0251
0.3760 0.5846 0.9010
0.6836 0.0990 0.9749
0.9749 0.7913 0.8760
0.7913 0.8760 0.9749
0.7087 0.6836 0.0846
0.2087 0.1240 0.0251
0.9010 0.3760 0.5846
0.1836 0.2087 0.5846
0.0846 0.8760 0.4010
0.4010 0.0846 0.8760
0.5846 0.1836 0.2087
0.9010 0.0251 0.3164
0.4154 0.0990 0.6240
0.5846 0.9010 0.3760
0.8164 0.7913 0.4154
0.1250 0.8750 0.2500
0.2500 0.1250 0.8750
0.8750 0.1250 0.7500
0.6250 0.3750 0.2500
0.6250 0.7500 0.3750
0.3750 0.6250 0.7500
0.7500 0.3750 0.6250
0.1250 0.7500 0.8750
0.3750 0.2500 0.6250
0.7500 0.8750 0.1250
0.2500 0.6250 0.3750
0.8750 0.2500 0.1250
0.3750 0.7500 0.1250
0.1250 0.3750 0.7500
0.8750 0.6250 0.2500
0.7500 0.6250 0.8750
0.7500 0.1250 0.3750
0.8750 0.7500 0.6250
0.1250 0.2500 0.3750
0.3750 0.1250 0.2500
0.6250 0.8750 0.7500
0.2500 0.3750 0.1250
0.2500 0.8750 0.6250
0.6250 0.2500 0.8750
0.0000 0.0000 0.5000
0.5000 0.5000 0.0000
0.5000 0.0000 0.0000
0.0000 0.5000 0.5000
0.5000 0.0000 0.5000
0.0000 0.5000 0.0000
0.5000 0.5000 0.5000
0.0000 0.0000 0.0000
```

Properties
* space-group type: No. 230
* energy: -8.018 eV/atom
* ΔE_f: -79.53 kcal/mol of atoms

=====

Density functional theory data (GGA+U) for a relaxed Li6V3P8O29 crystal.

Structure (POSCAR):
```
Li6V3P8O29
1.0
-5.0196 -2.7949 -7.9327
1.3219 -6.2990 7.4282
-11.7955 4.5388 5.9343
O P Li V
58 16 12 6
Direct
0.6654 0.3279 0.0205
0.2401 0.2436 0.4328
0.6609 0.3255 0.5227
0.6750 0.1869 0.6712
0.2255 0.0149 0.9339
0.9153 0.6594 0.8371
0.7465 0.0813 0.8398
0.4844 0.6689 0.3271
0.3812 0.9013 0.6796
0.0024 0.7571 0.4357
0.0775 0.3323 0.1549
0.7545 0.9976 0.4318
0.9009 0.5233 0.3245
0.3229 0.5103 0.8344
0.3723 0.4822 0.1701
0.5180 0.8942 0.1711
0.0120 0.7985 0.2566
0.1015 0.6279 0.1670
0.9999 0.2242 0.9314
0.6628 0.7460 0.1585
0.9998 0.2076 0.7493
0.2076 0.2127 0.2513
0.8136 0.4878 0.6679
0.5123 0.1859 0.1678
0.2074 0.0002 0.7508
0.7940 0.7987 0.9218
0.9162 0.2528 0.3428
0.7666 0.0010 0.0687
0.0835 0.7485 0.6590
0.4707 0.0900 0.8317
0.2356 0.2323 0.0694
0.8150 0.3299 0.1691
0.3323 0.6590 0.4770
0.3396 0.2576 0.8365
0.0938 0.4780 0.6782
0.7902 0.0000 0.2501
0.1841 0.5159 0.3253
0.6183 0.5383 0.8344
0.6659 0.4793 0.1721
0.2525 0.3391 0.6573
0.3263 0.8132 0.3331
0.4931 0.8108 0.8362
0.9064 0.3786 0.8306
0.7959 0.7890 0.7425
0.1959 0.6788 0.8294
0.2468 0.0032 0.5702
0.5184 0.6207 0.6767
0.0015 0.7903 0.0752
0.6635 0.9163 0.6567
0.4792 0.3813 0.3261
0.7514 0.7513 0.5647
0.3370 0.6637 0.9811
0.2604 0.9218 0.1617
0.9963 0.2425 0.5687
0.7515 0.6703 0.3410
0.5127 0.3268 0.6704
0.6188 0.0965 0.3216
0.3327 0.0833 0.3426
0.6632 0.3301 0.1268
0.2260 0.3162 0.1574
0.0877 0.7791 0.1588
0.6792 0.7673 0.6558
0.7707 0.0883 0.3418
0.9138 0.2291 0.8421
0.3355 0.6670 0.8729
0.3344 0.6655 0.3704
0.9147 0.6840 0.3440
0.3202 0.2348 0.3429
0.6675 0.3336 0.6298
0.3153 0.0890 0.8438
0.6821 0.9094 0.1573
0.2310 0.9123 0.6605
0.7758 0.6909 0.8404
0.0869 0.3211 0.6590
0.9879 0.9295 0.9905
0.3322 0.0966 0.0589
0.9000 0.2306 0.0569
0.0893 0.3169 0.4422
0.2334 0.3265 0.9361
0.9043 0.6752 0.5632
0.6805 0.7713 0.4382
0.3228 0.2294 0.5624
0.3334 0.6698 0.1129
0.7716 0.0942 0.5616
0.2268 0.9091 0.4420
0.6705 0.9003 0.9378
0.0026 0.5715 0.7552
0.5704 0.5652 0.2452
0.4356 0.4362 0.7502
0.9982 0.4373 0.2480
0.5677 0.0002 0.7509
0.4319 0.0014 0.2530
```

Properties
* space-group type: No. 1
* energy: -7.020 eV/atom
* ΔE_f: -61.38 kcal/mol of atoms

=====

Density functional theory data (GGA+U) for a relaxed Fe4O5F3 crystal.

Structure (POSCAR):
```
Fe4O5F3
1.0
-3.9688 -2.4830 -0.3990
1.5429 -1.0470 -7.4701
3.5020 -5.8638 3.5686
F Fe O
6 8 10
Direct
0.1980 0.7867 0.0309
0.8137 0.4565 0.7157
0.6990 0.0962 0.6070
0.8031 0.2288 0.9705
0.7962 0.7229 0.4792
0.2958 0.1573 0.1438
0.0595 0.2443 0.7454
0.5078 0.1224 0.3714
0.0239 0.4784 0.4826
0.4965 0.4081 0.1417
0.9957 0.7634 0.2582
0.4518 0.8666 0.6330
0.5077 0.6204 0.8709
0.9626 0.9944 0.9931
0.3014 0.6358 0.6586
0.7042 0.6113 0.0915
0.6830 0.8345 0.8460
0.3047 0.9070 0.4040
0.8044 0.9772 0.2243
0.1871 0.5444 0.2794
0.6924 0.3442 0.3424
0.3215 0.4118 0.9049
0.2085 0.2652 0.5187
0.1814 0.0223 0.7864
```

Properties
* space-group type: No. 1
* energy: -6.055 eV/atom
* ΔE_f: -42.55 kcal/mol of atoms

=====

Density functional theory data (GGA+U) for a relaxed LiVF4 crystal.

Structure (POSCAR):
```
LiVF4
1.0
4.6957 0.0000 0.0000
0.0000 5.7159 0.0000
0.0000 0.0000 10.3124
Li F V
4 16 4
Direct
0.5000 0.6852 0.7500
0.0000 0.1852 0.7500
0.0000 0.8148 0.2500
0.5000 0.3148 0.2500
0.7721 0.7729 0.4236
0.2867 0.9814 0.8421
0.7867 0.5186 0.1579
0.2133 0.4814 0.8421
0.2721 0.7271 0.5764
0.7133 0.0186 0.1579
0.7279 0.7271 0.9236
0.7867 0.4814 0.6579
0.7133 0.9814 0.6579
0.7279 0.2729 0.4236
0.2279 0.7729 0.0764
0.2133 0.5186 0.3421
0.7721 0.2271 0.9236
0.2721 0.2729 0.0764
0.2279 0.2271 0.5764
0.2867 0.0186 0.3421
0.5000 0.0000 0.5000
0.5000 0.0000 0.0000
0.0000 0.5000 0.5000
0.0000 0.5000 0.0000
```

Properties
* space-group type: No. 60
* energy: -5.723 eV/atom
* ΔE_f: -73.93 kcal/mol of atoms

=====

Density functional theory data (GGA+U) for a relaxed NiPO4 crystal.

Structure (POSCAR):
```
NiPO4
1.0
-3.8018 -2.6258 -1.8442
3.1761 -0.3690 -6.0218
4.5169 -8.5823 2.9083
O Ni P
16 4 4
Direct
0.6754 0.2245 0.8555
0.6244 0.5686 0.6120
0.7495 0.0071 0.5542
0.1754 0.7245 0.6445
0.7294 0.8511 0.8299
0.2495 0.5071 0.9458
0.8246 0.2245 0.3555
0.8756 0.5686 0.1120
0.3246 0.7245 0.1445
0.2706 0.3511 0.1701
0.7505 0.0071 0.0542
0.1244 0.0686 0.8880
0.2505 0.5071 0.4458
0.2294 0.3511 0.6701
0.3756 0.0686 0.3880
0.7706 0.8511 0.3299
0.3168 0.2912 0.8430
0.6832 0.7912 0.1570
0.8168 0.7912 0.6570
0.1832 0.2912 0.3430
0.8183 0.0374 0.9065
0.6817 0.0374 0.4065
0.1817 0.5374 0.0935
0.3183 0.5374 0.5935
```

Properties
* space-group type: No. 33
* energy: -6.183 eV/atom
* ΔE_f: -43.83 kcal/mol of atoms

=====

Density functional theory data (GGA+U) for a relaxed CsMnP4O12 crystal.

Structure (POSCAR):
```
CsMnP4O12
1.0
13.8441 0.0000 0.0000
0.0000 5.3333 0.0000
0.0000 1.6023 7.3836
O Cs P Mn
24 2 8 2
Direct
0.8668 0.2469 0.5020
0.3668 0.7531 0.4980
0.1550 0.7798 0.5329
0.8208 0.7701 0.5589
0.1235 0.8295 0.9365
0.2398 0.3631 0.7465
0.7204 0.3718 0.7737
0.7699 0.9454 0.9543
0.3208 0.2299 0.4411
0.2204 0.6282 0.2263
0.4067 0.3401 0.9108
0.1046 0.2548 0.4762
0.7398 0.6369 0.2535
0.6550 0.2202 0.4671
0.1130 0.0256 0.2136
0.6130 0.9744 0.7864
0.9067 0.6599 0.0892
0.8486 0.0270 0.2356
0.9858 0.8966 0.4564
0.3486 0.9730 0.7644
0.6046 0.7452 0.5238
0.4858 0.1034 0.5436
0.2699 0.0546 0.0457
0.6235 0.1705 0.0635
0.0012 0.3840 0.8339
0.5012 0.6160 0.1661
0.0951 0.9999 0.4270
0.8754 0.9966 0.4453
0.6785 0.1380 0.9028
0.3754 0.0034 0.5547
0.1785 0.8620 0.0972
0.5951 0.0001 0.5730
0.8195 0.7895 0.1369
0.3195 0.2105 0.8631
0.2352 0.5019 0.4864
0.7352 0.4981 0.5136
```

Properties
* space-group type: No. 4
* energy: -7.086 eV/atom
* ΔE_f: -59.41 kcal/mol of atoms

=====

Density functional theory data (GGA+U) for a relaxed Li9Mn2Co5O16 crystal.

Structure (POSCAR):
```
Li9Mn2Co5O16
1.0
5.9018 0.0000 0.0000
-0.3304 5.9184 0.0000
-0.0642 -0.0989 8.1943
Mn O Co Li
2 16 5 9
Direct
0.2459 0.2568 0.2511
0.9971 0.9990 0.0005
0.2630 0.2569 0.4826
0.7404 0.2565 0.4785
0.9796 0.0012 0.7655
0.2340 0.2411 0.0098
0.7591 0.2166 0.0150
0.4778 0.4954 0.2460
0.0106 0.5228 0.7513
0.2380 0.7851 0.9873
0.7630 0.7618 0.0036
0.4891 0.0347 0.2330
0.4956 0.9773 0.7680
0.7386 0.7412 0.5014
0.0192 0.0024 0.2380
0.0069 0.4637 0.2487
0.2614 0.7425 0.5201
0.5214 0.4991 0.7512
0.4983 0.9998 0.9988
0.5057 0.5065 0.4998
0.7510 0.2522 0.2543
0.2471 0.7470 0.7460
0.7544 0.7387 0.7477
0.9984 0.9976 0.5018
0.7551 0.7418 0.2560
0.2438 0.2603 0.7422
0.7569 0.2551 0.7372
0.0002 0.5003 0.9974
0.2446 0.7447 0.2640
0.5005 0.9995 0.5032
0.5016 0.5026 0.9979
0.0017 0.4998 0.5021
```

Properties
* space-group type: No. 1
* energy: -5.820 eV/atom
* ΔE_f: -42.19 kcal/mol of atoms

=====

Density functional theory data (GGA+U) for a relaxed CrO3 crystal.

Structure (POSCAR):
```
CrO3
1.0
-1.8238 1.4665 4.7095
-3.0260 -3.9808 0.0677
5.1024 -3.8382 3.1711
O Cr
12 4
Direct
0.9643 0.8358 0.4987
0.5030 0.3436 0.0019
0.6830 0.9496 0.1968
0.7851 0.4378 0.2950
0.0030 0.6564 0.9981
0.2789 0.5543 0.2984
0.1853 0.0458 0.2068
0.7789 0.4457 0.7016
0.1830 0.0504 0.8032
0.4643 0.1642 0.5013
0.6853 0.9542 0.7932
0.2851 0.5622 0.7050
0.5521 0.2439 0.2205
0.0521 0.7561 0.7795
0.5471 0.2275 0.7202
0.0471 0.7725 0.2798
```

Properties
* space-group type: No. 4
* energy: -6.464 eV/atom
* ΔE_f: -31.24 kcal/mol of atoms

=====

Density functional theory data (GGA+U) for a relaxed Ba3FeRu2O9 crystal.

Structure (POSCAR):
```
Ba3FeRu2O9
1.0
2.9063 -5.0338 0.0000
2.9063 5.0338 0.0000
0.0000 0.0000 14.1390
Ba O Ru Fe
6 18 4 2
Direct
0.0000 0.0000 0.7500
0.3333 0.6667 0.4110
0.0000 0.0000 0.2500
0.6667 0.3333 0.5890
0.6667 0.3333 0.9110
0.3333 0.6667 0.0890
0.6629 0.8314 0.9178
0.5090 0.0179 0.2500
0.4910 0.5090 0.7500
0.1686 0.8314 0.9178
0.1686 0.8314 0.5822
0.3371 0.1686 0.0822
0.3371 0.1686 0.4178
0.8314 0.1686 0.0822
0.5090 0.4910 0.2500
0.6629 0.8314 0.5822
0.4910 0.9821 0.7500
0.9821 0.4910 0.2500
0.8314 0.1686 0.4178
0.1686 0.3371 0.9178
0.0179 0.5090 0.7500
0.8314 0.6629 0.4178
0.8314 0.6629 0.0822
0.1686 0.3371 0.5822
0.6667 0.3333 0.3397
0.3333 0.6667 0.8397
0.6667 0.3333 0.1603
0.3333 0.6667 0.6603
0.0000 0.0000 0.0000
0.0000 0.0000 0.5000
```

Properties
* space-group type: No. 194
* energy: -6.834 eV/atom
* ΔE_f: -51.72 kcal/mol of atoms

=====

Density functional theory data (GGA+U) for a relaxed MgCo5SnO12 crystal.

Structure (POSCAR):
```
MgCo5SnO12
1.0
-5.0051 0.2191 0.7015
-2.7507 -4.2818 -0.0476
2.7394 -1.0125 9.4539
O Mg Co Sn
12 1 5 1
Direct
0.8485 0.0000 0.3988
0.1814 0.0000 0.6024
0.2732 0.6848 0.8936
0.6208 0.3825 0.0990
0.1395 0.3484 0.4057
0.6387 0.0000 0.8931
0.8853 0.6757 0.5990
0.9580 0.3152 0.8936
0.4879 0.6516 0.4057
0.0033 0.6175 0.0990
0.3949 0.0000 0.1005
0.5611 0.3243 0.5990
0.9081 0.0000 0.7478
0.3115 0.3347 0.9852
0.8485 0.3318 0.4985
0.1803 0.6682 0.4985
0.5049 0.0000 0.4854
0.6462 0.6653 0.9852
0.9953 0.0000 0.0475
```

Properties
* space-group type: No. 8
* energy: -5.770 eV/atom
* ΔE_f: -31.00 kcal/mol of atoms

=====

What is the ΔE_f in the first record?
-79.53 kcal/mol of atoms

=====

What is the formula in the eighth record?
CrO3

=====

What did the fourth record say?
Density functional theory data (GGA+U) for a relaxed LiVF4 crystal.

Structure (POSCAR):
```
LiVF4
1.0
4.6957 0.0000 0.0000
0.0000 5.7159 0.0000
0.0000 0.0000 10.3124
Li F V
4 16 4
Direct
0.5000 0.6852 0.7500
0.0000 0.1852 0.7500
0.0000 0.8148 0.2500
0.5000 0.3148 0.2500
0.7721 0.7729 0.4236
0.2867 0.9814 0.8421
0.7867 0.5186 0.1579
0.2133 0.4814 0.8421
0.2721 0.7271 0.5764
0.7133 0.0186 0.1579
0.7279 0.7271 0.9236
0.7867 0.4814 0.6579
0.7133 0.9814 0.6579
0.7279 0.2729 0.4236
0.2279 0.7729 0.0764
0.2133 0.5186 0.3421
0.7721 0.2271 0.9236
0.2721 0.2729 0.0764
0.2279 0.2271 0.5764
0.2867 0.0186 0.3421
0.5000 0.0000 0.5000
0.5000 0.0000 0.0000
0.0000 0.5000 0.5000
0.0000 0.5000 0.0000
```

Properties
* space-group type: No. 60
* energy: -5.723 eV/atom
* ΔE_f: -73.93 kcal/mol of atoms

=====

Copy entry 10 word for word.
Density functional theory data (GGA+U) for a relaxed MgCo5SnO12 crystal.

Structure (POSCAR):
```
MgCo5SnO12
1.0
-5.0051 0.2191 0.7015
-2.7507 -4.2818 -0.0476
2.7394 -1.0125 9.4539
O Mg Co Sn
12 1 5 1
Direct
0.8485 0.0000 0.3988
0.1814 0.0000 0.6024
0.2732 0.6848 0.8936
0.6208 0.3825 0.0990
0.1395 0.3484 0.4057
0.6387 0.0000 0.8931
0.8853 0.6757 0.5990
0.9580 0.3152 0.8936
0.4879 0.6516 0.4057
0.0033 0.6175 0.0990
0.3949 0.0000 0.1005
0.5611 0.3243 0.5990
0.9081 0.0000 0.7478
0.3115 0.3347 0.9852
0.8485 0.3318 0.4985
0.1803 0.6682 0.4985
0.5049 0.0000 0.4854
0.6462 0.6653 0.9852
0.9953 0.0000 0.0475
```

Properties
* space-group type: No. 8
* energy: -5.770 eV/atom
* ΔE_f: -31.00 kcal/mol of atoms